{"formula": "GaCo4Ge3", "functional": "meta-GGA r2SCAN", "state": "optimized geometry", "lattice_angstrom": [[3.244, 1.873, 2.685], [-3.244, 1.873, 2.685], [0.000, -3.746, 2.685]], "species": ["Ga", "Co", "Co", "Co", "Co", "Ge", "Ge", "Ge"], "fractional_positions": [[0.000, 0.000, 0.000], [0.022, 0.520, 0.791], [0.299, 0.299, 0.299], [0.520, 0.791, 0.022], [0.791, 0.022, 0.520], [0.313, 0.822, 0.499], [0.499, 0.313, 0.822], [0.822, 0.499, 0.313]], "magmom_total_mub_per_fu": 2.99, "e_form_ev_per_atom": -0.112}